1.
A geometry-optimized Se structure, computed with r²SCAN.

Output
Its energy above the most stable polymorph in this dataset is 0.210 eV/atom. The value obtained for the formation enthalpy at 0 K is 209.5 meV per atom. As for the total energy: -56.41 eV/cell.

Cell and atoms, written as CIF:
```
data_Se
_space_group_name_H-M_alt 'C m c m'
_space_group_IT_number 63
_space_group_name_Hall '-C 2c 2'
_cell_length_a 2.789
_cell_length_b 8.078
_cell_length_c 4.613
_cell_angle_alpha 90.00
_cell_angle_beta 90.00
_cell_angle_gamma 90.00
loop_
_atom_site_label
_atom_site_type_symbol
_atom_site_fract_x
_atom_site_fract_y
_atom_site_fract_z
Se1 Se 0.000 0.064 0.250
```

2.
A geometry-optimized Se structure, computed with r²SCAN.

Output
Its energy above the most stable polymorph in this dataset is 0.254 eV/atom. The value obtained for the formation enthalpy at 0 K is 254.1 meV per atom. As for the total energy: -14.06 eV/cell.

Cell and atoms, written as CIF:
```
data_Se
_space_group_name_H-M_alt 'P m -3 m'
_space_group_IT_number 221
_space_group_name_Hall '-P 4 2 3'
_cell_length_a 2.811
_cell_length_b 2.811
_cell_length_c 2.811
_cell_angle_alpha 90.00
_cell_angle_beta 90.00
_cell_angle_gamma 90.00
loop_
_atom_site_label
_atom_site_type_symbol
_atom_site_fract_x
_atom_site_fract_y
_atom_site_fract_z
Se1 Se 0.000 0.000 0.000
```